Computed, not measured: an optimized crystal structure of Na3AlZn3S6O24 at the PBE level of DFT.

Cell: 8.6348 8.6455 22.2915 Å, 89.96 89.99 60.06°
Space group P1 (No. 1)
Unique sites:
Na 0.0000 0.0000 0.0000 [1 per cell]
Na 0.0001 0.0169 0.5078 [1 per cell]
Na 0.3020 0.6745 0.4199 [1 per cell]
Na 0.3250 0.3415 0.3330 [1 per cell]
Na 0.3332 0.3422 0.8371 [1 per cell]
Na 0.6588 0.6834 0.1697 [1 per cell]
Na 0.6664 0.6751 0.6704 [1 per cell]
Na 0.6666 0.0398 0.4197 [1 per cell]
Na 0.9657 0.3421 0.0838 [1 per cell]
Al 0.3314 0.3424 0.6877 [1 per cell]
Al 0.3344 0.3420 0.1858 [1 per cell]
Al 0.9991 0.0080 0.8524 [1 per cell]
Zn 0.9999 0.0025 0.1533 [1 per cell]
Zn 0.9999 0.0150 0.3464 [1 per cell]
Zn 0.3269 0.3418 0.4914 [1 per cell]
Zn 0.3354 0.3421 0.9819 [1 per cell]
Zn 0.6582 0.6841 0.0142 [1 per cell]
Zn 0.6651 0.6763 0.8190 [1 per cell]
Zn 0.6677 0.6736 0.3161 [1 per cell]
Zn 0.6688 0.6729 0.5246 [1 per cell]
Zn 0.9990 0.0097 0.6529 [1 per cell]
S 0.0030 0.7161 0.7518 [1 per cell]
S 0.0044 0.3052 0.2498 [1 per cell]
S 0.0440 0.3408 0.5878 [1 per cell]
S 0.0463 0.6317 0.0868 [1 per cell]
S 0.2880 0.0128 0.7519 [1 per cell]
S 0.2954 0.7076 0.2511 [1 per cell]
S 0.3313 0.6323 0.5870 [1 per cell]
S 0.3352 0.0530 0.0872 [1 per cell]
S 0.3659 0.6812 0.9170 [1 per cell]
S 0.3715 0.9698 0.4189 [1 per cell]
S 0.6194 0.3422 0.0870 [1 per cell]
S 0.6224 0.0536 0.5870 [1 per cell]
S 0.6692 0.3820 0.4191 [1 per cell]
S 0.6714 0.9698 0.9170 [1 per cell]
S 0.6976 0.0141 0.2511 [1 per cell]
S 0.7063 0.2980 0.7519 [1 per cell]
S 0.9593 0.6727 0.4187 [1 per cell]
S 0.9608 0.3752 0.9177 [1 per cell]
O 0.0249 0.1813 0.5935 [1 per cell]
O 0.0250 0.8104 0.0936 [1 per cell]
O 0.0334 0.8011 0.8060 [1 per cell]
O 0.0391 0.1959 0.3045 [1 per cell]
O 0.1336 0.5129 0.1408 [1 per cell]
O 0.1357 0.3667 0.6408 [1 per cell]
O 0.1401 0.3554 0.9242 [1 per cell]
O 0.1424 0.5160 0.4242 [1 per cell]
O 0.1458 0.3115 0.5317 [1 per cell]
O 0.1509 0.5532 0.0324 [1 per cell]
O 0.1695 0.3213 0.2420 [1 per cell]
O 0.1697 0.5346 0.7448 [1 per cell]
O 0.1708 0.0381 0.0939 [1 per cell]
O 0.1712 0.8100 0.5929 [1 per cell]
O 0.1725 0.0432 0.8061 [1 per cell]
O 0.1840 0.8462 0.9083 [1 per cell]
O 0.1901 0.7782 0.3076 [1 per cell]
O 0.1925 0.9846 0.4126 [1 per cell]
O 0.2120 0.9819 0.6978 [1 per cell]
O 0.2126 0.8221 0.1989 [1 per cell]
O 0.2994 0.1641 0.0333 [1 per cell]
O 0.3033 0.1794 0.7448 [1 per cell]
O 0.3039 0.5605 0.5296 [1 per cell]
O 0.3108 0.5273 0.2424 [1 per cell]
O 0.3452 0.5223 0.9238 [1 per cell]
O 0.3560 0.1486 0.4247 [1 per cell]
O 0.3561 0.5136 0.6393 [1 per cell]
O 0.3583 0.1431 0.1414 [1 per cell]
O 0.4374 0.7163 0.9726 [1 per cell]
O 0.4506 0.8567 0.4727 [1 per cell]
O 0.4676 0.8564 0.7596 [1 per cell]
O 0.4741 0.6889 0.2574 [1 per cell]
O 0.4781 0.6491 0.8641 [1 per cell]
O 0.4839 0.8914 0.3650 [1 per cell]
O 0.4958 0.6450 0.5835 [1 per cell]
O 0.4959 0.8754 0.0832 [1 per cell]
O 0.5038 0.1472 0.6393 [1 per cell]
O 0.5050 0.3621 0.4240 [1 per cell]
O 0.5065 0.3668 0.1412 [1 per cell]
O 0.5122 0.1490 0.9239 [1 per cell]
O 0.5173 0.1790 0.2425 [1 per cell]
O 0.5243 0.3130 0.7447 [1 per cell]
O 0.5432 0.3133 0.0328 [1 per cell]
O 0.5510 0.1536 0.5296 [1 per cell]
O 0.6331 0.4938 0.3652 [1 per cell]
O 0.6345 0.8769 0.5834 [1 per cell]
O 0.6392 0.8900 0.8641 [1 per cell]
O 0.6403 0.5035 0.0838 [1 per cell]
O 0.6784 0.8547 0.2573 [1 per cell]
O 0.6837 0.4773 0.7597 [1 per cell]
O 0.6959 0.4616 0.4732 [1 per cell]
O 0.7074 0.8625 0.9726 [1 per cell]
O 0.7687 0.0478 0.3077 [1 per cell]
O 0.7914 0.1825 0.8061 [1 per cell]
O 0.8006 0.0354 0.5928 [1 per cell]
O 0.8026 0.1840 0.0934 [1 per cell]
O 0.8116 0.9836 0.1989 [1 per cell]
O 0.8131 0.2220 0.6978 [1 per cell]
O 0.8265 0.1989 0.4132 [1 per cell]
O 0.8365 0.9869 0.9083 [1 per cell]
O 0.8447 0.4831 0.2568 [1 per cell]
O 0.8463 0.6930 0.7597 [1 per cell]
O 0.8465 0.7088 0.4724 [1 per cell]
O 0.8562 0.4456 0.9746 [1 per cell]
O 0.8671 0.5055 0.5840 [1 per cell]
O 0.8677 0.6429 0.0836 [1 per cell]
O 0.8778 0.4893 0.8655 [1 per cell]
O 0.8804 0.6459 0.3644 [1 per cell]
O 0.9723 0.8231 0.6977 [1 per cell]
O 0.9732 0.2266 0.1956 [1 per cell]
O 0.9767 0.1942 0.9088 [1 per cell]
O 0.9786 0.8373 0.4133 [1 per cell]

Calculated values
crystal system: triclinic
ΔE_f: -2.05 eV/atom

---

Computed, not measured: an optimized crystal structure of EuSi2Ni2 at the PBE level of DFT.

Cell: 4.0330 4.0330 9.7453 Å, 90.00 90.00 90.00°
Space group I4/mmm (No. 139)
Unique sites:
Eu 0.0000 0.0000 0.0000 [2 per cell]
Si 0.0000 0.0000 0.3685 [4 per cell]
Ni 0.0000 0.5000 0.2500 [4 per cell]

Calculated values
crystal system: tetragonal
ΔE_f: -0.68 eV/atom

---

Computed, not measured: an optimized crystal structure of CaMg14Zr at the PBE level of DFT.

Cell: 6.5398 6.5398 10.3101 Å, 90.00 90.00 120.00°
Space group P-6m2 (No. 187)
Unique sites:
Ca 0.0000 0.0000 0.0000 [1 per cell]
Mg 0.0039 0.5020 0.5000 [3 per cell]
Mg 0.0060 0.5030 0.0000 [3 per cell]
Mg 0.1680 0.3360 0.2576 [6 per cell]
Mg 0.6667 0.3333 0.2489 [2 per cell]
Zr 0.0000 0.0000 0.5000 [1 per cell]

Calculated values
crystal system: hexagonal
ΔE_f: 0.04 eV/atom
distance to the lowest polymorph of the same formula: 0 kJ/mol of formula units

---

Computed, not measured: an optimized crystal structure of In10SnS14 at the PBE level of DFT.

Cell: 9.2105 3.9284 17.2727 Å, 90.00 102.41 90.00°
Space group Pm (No. 6)
Unique sites:
In 0.0000 0.0000 0.0000 [1 per cell]
In 0.0211 0.5000 0.5865 [1 per cell]
In 0.1663 0.0000 0.2383 [1 per cell]
In 0.2767 0.5000 0.9222 [1 per cell]
In 0.3289 0.5000 0.4488 [1 per cell]
In 0.3773 0.0000 0.6576 [1 per cell]
In 0.4187 0.0000 0.1725 [1 per cell]
In 0.5372 0.5000 0.8587 [1 per cell]
In 0.6731 0.0000 0.5206 [1 per cell]
In 0.7119 0.5000 0.0960 [1 per cell]
Sn 0.8152 0.0000 0.3301 [1 per cell]
S 0.1035 0.0000 0.8735 [1 per cell]
S 0.1071 0.5000 0.3232 [1 per cell]
S 0.1892 0.0000 0.5180 [1 per cell]
S 0.1919 0.5000 0.0578 [1 per cell]
S 0.2392 0.5000 0.7041 [1 per cell]
S 0.4708 0.0000 0.3956 [1 per cell]
S 0.5227 0.0000 0.0499 [1 per cell]
S 0.5269 0.5000 0.5806 [1 per cell]
S 0.5985 0.0000 0.7768 [1 per cell]
S 0.6145 0.5000 0.2323 [1 per cell]
S 0.7977 0.5000 0.9621 [1 per cell]
S 0.8219 0.5000 0.4500 [1 per cell]
S 0.8859 0.0000 0.6362 [1 per cell]
S 0.9099 0.0000 0.1435 [1 per cell]

Calculated values
crystal system: monoclinic
ΔE_f: -0.78 eV/atom